A plane-wave DFT calculation with PBE+U was carried out for a relaxed MgFe2Mo2Cl2O8 crystal.

Computed properties:
The formation enthalpy at 0 K comes out at -1738 meV per atom. The calculation puts the electronic total energy at -6.212 eV/atom. The value obtained for the energy above the lowest structure with this stoichiometry is 149 meV per atom. The value obtained for the total magnetization is 10.005 μB per cell. The mass density comes out at 3.30 Mg/m³.

Cell and atoms, written as POSCAR:
```
MgFe2Mo2Cl2O8
1.0
-3.2205 1.8123 -4.3877
-2.6175 -6.3055 -0.6874
-5.0229 1.4084 4.2474
Mg Fe Mo Cl O
1 2 2 2 8
Direct
0.5060 0.7496 0.2521
0.2694 0.2500 0.2495
0.7374 0.7501 0.7504
0.9992 0.2499 0.7501
0.0079 0.7502 0.2495
0.6638 0.2501 0.2503
0.3130 0.7500 0.7482
0.2367 0.9469 0.2603
0.2366 0.5530 0.2390
0.1721 0.2486 0.5216
0.1722 0.2512 0.9778
0.7783 0.7755 0.4439
0.8149 0.0445 0.7615
0.7772 0.7247 0.0569
0.8151 0.4558 0.7390
```